SnCN2: relaxed, PBE.

The space group is P6_3/mmc (No. 194) and the conventional cell measures 3.9395, 3.9395 and 10.0933 Å, with angles of 90.00, 90.00 and 120.00 degrees. Symmetry generates all atoms from Sn at (0.0000, 0.0000, 0.0000), C at (0.3333, 0.6667, 0.2500) and N at (0.3333, 0.6667, 0.1271).

For the energy relative to the elements, the calculation gives 0.0456 eV/atom. Its size of the total moment is 0.0 μB/cell.